No. 1
# Pr3Au PBE optimized geometry
data_Pr3Au
_cell_length_a 7.1104
_cell_length_b 7.1104
_cell_length_c 5.3859
_cell_angle_alpha 90.00
_cell_angle_beta 90.00
_cell_angle_gamma 120.00
_space_group_name_H-M_alt 'P 1'
_space_group_IT_number 1
_space_group_name_Hall 'P 1'
loop_
_atom_site_label
_atom_site_type_symbol
_atom_site_fract_x
_atom_site_fract_y
_atom_site_fract_z
Au1 Au 0.6667 0.3333 0.2500
Au2 Au 0.3333 0.6667 0.7500
Pr1 Pr 0.8230 0.6459 0.7500
Pr2 Pr 0.1770 0.3541 0.2500
Pr3 Pr 0.1770 0.8230 0.2500
Pr4 Pr 0.6459 0.8230 0.2500
Pr5 Pr 0.3541 0.1770 0.7500
Pr6 Pr 0.8230 0.1770 0.7500
# Relative energy among the computed polymorphs: 0.000 eV per atom

No. 2
# MgTi4S8 PBE optimized geometry
data_MgTi4S8
_cell_length_a 7.0138
_cell_length_b 7.0138
_cell_length_c 7.0138
_cell_angle_alpha 60.41
_cell_angle_beta 60.41
_cell_angle_gamma 60.41
_space_group_name_H-M_alt 'P 1'
_space_group_IT_number 1
_space_group_name_Hall 'P 1'
loop_
_atom_site_label
_atom_site_type_symbol
_atom_site_fract_x
_atom_site_fract_y
_atom_site_fract_z
Ti1 Ti 0.5000 0.5000 0.0000
Ti2 Ti 0.5000 0.0000 0.5000
Ti3 Ti 0.0000 0.5000 0.5000
Ti4 Ti 0.5000 0.5000 0.5000
S1 S 0.2544 0.2544 0.7416
S2 S 0.2584 0.7456 0.7456
S3 S 0.7456 0.2584 0.7456
S4 S 0.7456 0.7456 0.2584
S5 S 0.2544 0.7416 0.2544
S6 S 0.7457 0.7457 0.7457
S7 S 0.2543 0.2543 0.2543
S8 S 0.7416 0.2544 0.2544
Mg1 Mg 0.0000 0.0000 0.0000
# Relative energy among the computed polymorphs: 0.023 eV per atom

No. 3
# TaTiCo PBE optimized geometry
data_TaTiCo
_cell_length_a 5.0852
_cell_length_b 5.0858
_cell_length_c 7.9654
_cell_angle_alpha 90.00
_cell_angle_beta 90.00
_cell_angle_gamma 60.40
_space_group_name_H-M_alt 'P 1'
_space_group_IT_number 1
_space_group_name_Hall 'P 1'
loop_
_atom_site_label
_atom_site_type_symbol
_atom_site_fract_x
_atom_site_fract_y
_atom_site_fract_z
Ti1 Ti 0.8518 0.8518 0.7500
Ti2 Ti 0.1565 0.6614 0.2500
Ti3 Ti 0.1672 0.1672 0.2500
Ti4 Ti 0.6615 0.1565 0.2500
Ta1 Ta 0.3219 0.3219 0.9317
Ta2 Ta 0.6534 0.6535 0.4560
Ta3 Ta 0.3219 0.3219 0.5683
Ta4 Ta 0.6534 0.6535 0.0440
Co1 Co 0.3585 0.8422 0.7500
Co2 Co 0.0058 0.0058 0.9999
Co3 Co 0.8422 0.3585 0.7500
Co4 Co 0.0058 0.0058 0.5001
# VASP energy: -9.106 eV/atom

No. 4
# Ce2MgAl PBE optimized geometry
data_Ce2MgAl
_cell_length_a 5.2949
_cell_length_b 5.2949
_cell_length_c 5.2949
_cell_angle_alpha 60.00
_cell_angle_beta 60.00
_cell_angle_gamma 60.00
_space_group_name_H-M_alt 'P 1'
_space_group_IT_number 1
_space_group_name_Hall 'P 1'
loop_
_atom_site_label
_atom_site_type_symbol
_atom_site_fract_x
_atom_site_fract_y
_atom_site_fract_z
Ce1 Ce 0.7500 0.7500 0.7500
Ce2 Ce 0.2500 0.2500 0.2500
Al1 Al 0.0000 0.0000 0.0000
Mg1 Mg 0.5000 0.5000 0.5000
# VASP energy: -4.397 eV/atom

no.,magnetization (μB/f.u.)
1,0.00
2,0.02
3,0.00
4,0.84